1.
VASP calculation (PBE+U) on a geometry-optimized Sr2CaMnO6 structure.

Calculated values
Energy with MP2020 corrections (eV/atom): -6.89
Final energy (eV per atom): -6.31
Energy of formation from the pure elements (eV/atom): -2.464
Volume (Å³ per cell): 557.7

```
data_Sr2CaMnO6
_chemical_formula_sum 'Sr8 Ca4 Mn4 O24'
_cell_length_a 8.231
_cell_length_b 8.231
_cell_length_c 8.231
_cell_angle_alpha 90.00
_cell_angle_beta 90.00
_cell_angle_gamma 90.00
_symmetry_space_group_name_H-M 'F m -3 m'
_symmetry_Int_Tables_number 225
_symmetry_space_group_name_Hall '-F 4 2 3'
loop_
_atom_site_label
_atom_site_fract_x
_atom_site_fract_y
_atom_site_fract_z
_atom_site_occupancy
Sr1 0.250 0.250 0.250 1
Ca1 0.000 0.000 0.000 1
Mn1 0.000 0.000 0.500 1
O1 0.000 0.000 0.271 1
```

***

2.
VASP calculation (PBE+U) on a geometry-optimized SrCa7Mn8O20 structure.

Calculated values
Energy with MP2020 corrections (eV/atom): -7.69
Final energy (eV per atom): -6.94
Energy of formation from the pure elements (eV/atom): -2.468
Volume (Å³ per cell): 939.2

```
data_SrCa7Mn8O20
_chemical_formula_sum 'Sr2 Ca14 Mn16 O40'
_cell_length_a 11.045
_cell_length_b 11.078
_cell_length_c 7.683
_cell_angle_alpha 90.00
_cell_angle_beta 92.56
_cell_angle_gamma 90.00
_symmetry_space_group_name_H-M 'C 1 m 1'
_symmetry_Int_Tables_number 8
loop_
_symmetry_equiv_pos_as_xyz
'x,y,z'
'x,-y,z'
'x+1/2,y+1/2,z'
'x+1/2,-y+1/2,z'
loop_
_atom_site_label
_atom_site_fract_x
_atom_site_fract_y
_atom_site_fract_z
_atom_site_occupancy
Sr1 0.000 0.000 0.000 1
Ca1 0.003 0.500 0.028 1
Ca2 0.012 0.500 0.481 1
Ca3 0.249 0.261 0.016 1
Ca4 0.257 0.258 0.473 1
Ca5 0.478 0.500 0.457 1
Mn1 0.004 0.245 0.758 1
Mn2 0.240 0.500 0.748 1
Mn3 0.242 0.500 0.253 1
Mn4 0.245 0.000 0.278 1
Mn5 0.245 0.000 0.752 1
Mn6 0.491 0.246 0.249 1
O1 0.112 0.385 0.791 1
O2 0.118 0.124 0.282 1
O3 0.122 0.378 0.227 1
O4 0.149 0.129 0.821 1
O5 0.235 0.500 0.500 1
O6 0.313 0.000 0.536 1
O7 0.359 0.123 0.222 1
O8 0.363 0.372 0.759 1
O9 0.364 0.379 0.246 1
O10 0.469 0.239 0.997 1
O11 0.483 0.233 0.507 1
```

***

3.
VASP calculation (PBE+U) on a geometry-optimized SrCa3Mn4O12 structure.

Calculated values
Energy with MP2020 corrections (eV/atom): -7.61
Final energy (eV per atom): -6.86
Energy of formation from the pure elements (eV/atom): -2.423
Volume (Å³ per cell): 224.7

```
data_SrCa3Mn4O12
_chemical_formula_sum 'Sr1 Ca3 Mn4 O12'
_cell_length_a 3.834
_cell_length_b 3.834
_cell_length_c 15.283
_cell_angle_alpha 90.00
_cell_angle_beta 90.00
_cell_angle_gamma 90.00
_symmetry_space_group_name_H-M 'P 4/m m m'
_symmetry_Int_Tables_number 123
_symmetry_space_group_name_Hall '-P 4 2'
loop_
_atom_site_label
_atom_site_fract_x
_atom_site_fract_y
_atom_site_fract_z
_atom_site_occupancy
Sr1 0.000 0.000 0.000 1
Ca1 0.000 0.000 0.250 1
Ca2 0.000 0.000 0.500 1
Mn1 0.500 0.500 0.127 1
Mn2 0.500 0.500 0.375 1
O1 0.000 0.500 0.130 1
O2 0.000 0.500 0.376 1
O3 0.500 0.500 0.000 1
O4 0.500 0.500 0.252 1
O5 0.500 0.500 0.500 1
```